# Sr5Br8Cl2 | Materials Project | PBE | optimized geometry
data_Sr5Br8Cl2
_chemical_formula_sum 'Sr10 Br16 Cl4'
_cell_length_a 11.6012
_cell_length_b 11.6012
_cell_length_c 7.1584
_cell_angle_alpha 90.00
_cell_angle_beta 90.00
_cell_angle_gamma 90.00
_space_group_name_H-M_alt 'P 4/n'
_space_group_IT_number 85
loop_
_space_group_symop_operation_xyz
'x,y,z'
'-x,-y,-z'
'-y+1/2,x,z'
'y+1/2,-x,-z'
'-x+1/2,-y+1/2,z'
'x+1/2,y+1/2,-z'
'y,-x+1/2,z'
'-y,x+1/2,-z'
loop_
_atom_site_label
_atom_site_type_symbol
_atom_site_fract_x
_atom_site_fract_y
_atom_site_fract_z
_atom_site_occupancy
Sr1 Sr 0.0932 0.6095 0.2482 1
Sr2 Sr 0.2500 0.2500 0.1500 1
Br1 Br 0.0376 0.3469 0.3771 1
Br2 Br 0.0408 0.1606 0.9018 1
Cl1 Cl 0.2500 0.7500 0.0000 1
Cl2 Cl 0.2500 0.7500 0.5000 1
# Total DFT energy (no corrections)   -3.894 eV per atom